1.
Density functional theory data (PBE) for ZrI4 after structural relaxation.

Lattice parameters (Å, degrees): 8.6501 8.7210 27.5924 89.58 85.27 87.45
Last column: nearest neighbours and their distance in Å.
Atoms (fractional coordinates):
1 Zr 0.1114 0.3625 0.1734  4 I 2.71-2.88
2 Zr 0.3754 0.6522 0.0590  4 I 2.73-2.91
3 Zr 0.6246 0.3478 0.9410  4 I 2.73-2.91
4 Zr 0.8886 0.6375 0.8266  4 I 2.71-2.88
5 I 0.0618 0.4227 0.7729  1 Zr 2.72
6 I 0.1110 0.8440 0.8383  1 Zr 2.73
7 I 0.1252 0.8531 0.0564  1 Zr 2.73
8 I 0.1521 0.3866 0.0689  2 Zr 2.88-3.08
9 I 0.3048 0.1829 0.2246  1 Zr 2.71
10 I 0.3711 0.5926 0.1624  2 Zr 2.89-3.07
11 I 0.3813 0.6123 0.9542  2 Zr 2.91-3.06
12 I 0.3946 0.1453 0.9379  1 Zr 2.73
13 I 0.6054 0.8547 0.0621  1 Zr 2.73
14 I 0.6187 0.3877 0.0458  2 Zr 2.91-3.06
15 I 0.6289 0.4074 0.8376  2 Zr 2.89-3.07
16 I 0.6952 0.8171 0.7754  1 Zr 2.71
17 I 0.8479 0.6134 0.9311  2 Zr 2.88-3.08
18 I 0.8748 0.1469 0.9436  1 Zr 2.73
19 I 0.8890 0.1560 0.1617  1 Zr 2.73
20 I 0.9382 0.5773 0.2271  1 Zr 2.72

Values from the calculation:
- formation energy from the elements (meV per atom) = -1205

=====

2.
Density functional theory data (PBE) for Zn2P2O7 after structural relaxation.

Lattice parameters (Å, degrees): 5.0226 13.5076 16.6766 90.00 90.00 90.00
Last column: nearest neighbours and their distance in Å.
Atoms (fractional coordinates):
1 Zn 0.0911 0.0456 0.0864  3 O 1.93-2.03
2 Zn 0.0911 0.0456 0.4136  3 O 1.93-2.03
3 Zn 0.0911 0.4544 0.5864  3 O 1.93-2.03
4 Zn 0.0911 0.4544 0.9136  3 O 1.93-2.03
5 Zn 0.3207 0.2421 0.6568  5 O 1.97-2.15
6 Zn 0.3207 0.2421 0.8432  5 O 1.97-2.15
7 Zn 0.3207 0.2579 0.1568  5 O 1.97-2.15
8 Zn 0.3207 0.2579 0.3432  5 O 1.97-2.15
9 Zn 0.6793 0.7421 0.6568  5 O 1.97-2.15
10 Zn 0.6793 0.7421 0.8432  5 O 1.97-2.15
11 Zn 0.6793 0.7579 0.1568  5 O 1.97-2.15
12 Zn 0.6793 0.7579 0.3432  5 O 1.97-2.15
13 Zn 0.9089 0.5456 0.0864  3 O 1.93-2.03
14 Zn 0.9089 0.5456 0.4136  3 O 1.93-2.03
15 Zn 0.9089 0.9544 0.5864  3 O 1.93-2.03
16 Zn 0.9089 0.9544 0.9136  3 O 1.93-2.03
17 P 0.0416 0.0562 0.7500  4 O 1.52-1.65
18 P 0.0416 0.4438 0.2500  4 O 1.52-1.65
19 P 0.1732 0.6503 0.2500  4 O 1.54-1.61
20 P 0.1732 0.8497 0.7500  4 O 1.54-1.61
21 P 0.4215 0.6439 0.5028  4 O 1.51-1.63
22 P 0.4215 0.6439 0.9972  4 O 1.51-1.63
23 P 0.4215 0.8561 0.0028  4 O 1.51-1.63
24 P 0.4215 0.8561 0.4972  4 O 1.51-1.63
25 P 0.5785 0.1439 0.5028  4 O 1.51-1.63
26 P 0.5785 0.1439 0.9972  4 O 1.51-1.63
27 P 0.5785 0.3561 0.0028  4 O 1.51-1.63
28 P 0.5785 0.3561 0.4972  4 O 1.51-1.63
29 P 0.8268 0.1503 0.2500  4 O 1.54-1.61
30 P 0.8268 0.3497 0.7500  4 O 1.54-1.61
31 P 0.9584 0.5562 0.7500  4 O 1.52-1.65
32 P 0.9584 0.9438 0.2500  4 O 1.52-1.65
33 O 0.0136 0.6688 0.1724  1 P 1.54
34 O 0.0136 0.6688 0.3276  1 P 1.54
35 O 0.0136 0.8312 0.6724  1 P 1.54
36 O 0.0136 0.8312 0.8276  1 P 1.54
37 O 0.1185 0.5482 0.6731  1 P 1.52
38 O 0.1185 0.5482 0.8269  1 P 1.52
39 O 0.1185 0.9518 0.1731  1 P 1.52
40 O 0.1185 0.9518 0.3269  1 P 1.52
41 O 0.1973 0.5664 0.0027  1 P 1.54
42 O 0.1973 0.5664 0.4973  1 P 1.54
43 O 0.1973 0.9336 0.5027  1 P 1.54
44 O 0.1973 0.9336 0.9973  1 P 1.54
45 O 0.2122 0.1509 0.7500  1 P 1.54
46 O 0.2122 0.3491 0.2500  1 P 1.54
47 O 0.2582 0.5354 0.2500  2 P 1.61-1.65
48 O 0.2582 0.9646 0.7500  2 P 1.61-1.65
49 O 0.2681 0.7500 0.0000  2 P 1.63
50 O 0.2681 0.7500 0.5000  2 P 1.63
51 O 0.4011 0.1404 0.0734  1 P 1.55
52 O 0.4011 0.1404 0.4266  1 P 1.55
53 O 0.4011 0.3596 0.5734  1 P 1.55
54 O 0.4011 0.3596 0.9266  1 P 1.55
55 O 0.4179 0.1381 0.5794  1 P 1.51
56 O 0.4179 0.1381 0.9206  1 P 1.51
57 O 0.4179 0.3619 0.0794  1 P 1.51
58 O 0.4179 0.3619 0.4206  1 P 1.51
59 O 0.4384 0.7073 0.2500  1 P 1.54
60 O 0.4384 0.7927 0.7500  1 P 1.54
61 O 0.5616 0.2073 0.2500  1 P 1.54
62 O 0.5616 0.2927 0.7500  1 P 1.54
63 O 0.5821 0.6381 0.5794  1 P 1.51
64 O 0.5821 0.6381 0.9206  1 P 1.51
65 O 0.5821 0.8619 0.0794  1 P 1.51
66 O 0.5821 0.8619 0.4206  1 P 1.51
67 O 0.5989 0.6404 0.0734  1 P 1.55
68 O 0.5989 0.6404 0.4266  1 P 1.55
69 O 0.5989 0.8596 0.5734  1 P 1.55
70 O 0.5989 0.8596 0.9266  1 P 1.55
71 O 0.7319 0.2500 0.0000  2 P 1.63
72 O 0.7319 0.2500 0.5000  2 P 1.63
73 O 0.7418 0.0354 0.2500  2 P 1.61-1.65
74 O 0.7418 0.4646 0.7500  2 P 1.61-1.65
75 O 0.7878 0.6509 0.7500  1 P 1.54
76 O 0.7878 0.8491 0.2500  1 P 1.54
77 O 0.8027 0.0664 0.0027  1 P 1.54
78 O 0.8027 0.0664 0.4973  1 P 1.54
79 O 0.8027 0.4336 0.5027  1 P 1.54
80 O 0.8027 0.4336 0.9973  1 P 1.54
81 O 0.8815 0.0482 0.6731  1 P 1.52
82 O 0.8815 0.0482 0.8269  1 P 1.52
83 O 0.8815 0.4518 0.1731  1 P 1.52
84 O 0.8815 0.4518 0.3269  1 P 1.52
85 O 0.9864 0.1688 0.1724  1 P 1.54
86 O 0.9864 0.1688 0.3276  1 P 1.54
87 O 0.9864 0.3312 0.6724  1 P 1.54
88 O 0.9864 0.3312 0.8276  1 P 1.54

Values from the calculation:
- distance to the lowest polymorph of the same formula (eV per atom) = 0.000
- formation energy from the elements (meV per atom) = -2433

=====

3.
Density functional theory data (PBE) for K2Na2MgNb2O2F10 after structural relaxation.

Lattice parameters (Å, degrees): 6.0917 6.0917 8.7510 90.00 90.00 90.00
Last column: nearest neighbours and their distance in Å.
Atoms (fractional coordinates):
1 K 0.0000 0.0000 0.0000  12 F 2.91-3.05
2 K 0.5000 0.5000 0.0000  12 F 2.93-3.05
3 Na 0.0000 0.5000 0.2626  5 F 2.34-2.41, 1 O 2.38
4 Na 0.5000 0.0000 0.7374  5 F 2.34-2.41, 1 O 2.38
5 Mg 0.5000 0.5000 0.5000  4 O 3.06, 8 F 3.25
6 Nb 0.0000 0.5000 0.7379  1 O 1.78
7 Nb 0.5000 0.0000 0.2621  1 O 1.78
8 O 0.0000 0.5000 0.5341  1 Nb 1.78
9 O 0.5000 0.0000 0.4659  1 Nb 1.78
10 F 0.0000 0.5000 0.9876  1 Nb 2.19, 1 Na 2.41
11 F 0.2295 0.2666 0.7754  1 Nb 2.02
12 F 0.2295 0.7334 0.7754  1 Nb 2.02
13 F 0.2666 0.2295 0.2246  1 Nb 2.02
14 F 0.2666 0.7705 0.2246  1 Nb 2.02
15 F 0.5000 0.0000 0.0124  1 Nb 2.19, 1 Na 2.41
16 F 0.7334 0.2295 0.2246  1 Nb 2.02
17 F 0.7334 0.7705 0.2246  1 Nb 2.02
18 F 0.7705 0.2666 0.7754  1 Nb 2.02
19 F 0.7705 0.7334 0.7754  1 Nb 2.02

Values from the calculation:
- distance to the lowest polymorph of the same formula (eV per atom) = 0.040
- formation energy from the elements (meV per atom) = -2994

=====

4.
Density functional theory data (PBE) for KNaMg30O31 after structural relaxation.

Lattice parameters (Å, degrees): 8.6298 8.6525 8.6181 90.00 90.00 90.00
Last column: nearest neighbours and their distance in Å.
Atoms (fractional coordinates):
1 K 0.0000 0.0000 0.0000  6 O 2.34-2.39
2 Na 0.5000 0.5000 0.9984  6 O 2.23-2.30
3 Mg 0.0000 0.0000 0.4956  2 O 1.93-1.95
4 Mg 0.0000 0.2536 0.2461  6 O 2.13-2.20
5 Mg 0.0000 0.2562 0.7454  6 O 2.11-2.23
6 Mg 0.0000 0.5000 0.4943  6 O 2.09-2.16
7 Mg 0.0000 0.5000 0.9969  5 O 1.98-2.20
8 Mg 0.0000 0.7438 0.7454  6 O 2.11-2.23
9 Mg 0.0000 0.7464 0.2461  6 O 2.13-2.20
10 Mg 0.2288 0.0000 0.7462  5 O 1.99-2.14
11 Mg 0.2472 0.5000 0.7471  6 O 2.13-2.20
12 Mg 0.2483 0.0000 0.2468  6 O 2.14-2.30
13 Mg 0.2499 0.5000 0.2432  6 O 2.15-2.19
14 Mg 0.2506 0.2504 0.4964  6 O 2.14-2.17
15 Mg 0.2506 0.7496 0.4964  6 O 2.14-2.17
16 Mg 0.2524 0.2537 0.9938  6 O 2.13-2.21
17 Mg 0.2524 0.7463 0.9938  6 O 2.13-2.21
18 Mg 0.5000 0.0000 0.0163  5 O 1.96-2.07
19 Mg 0.5000 0.0000 0.4757  5 O 1.96-2.11
20 Mg 0.5000 0.2549 0.2422  6 O 2.13-2.25
21 Mg 0.5000 0.2733 0.7498  5 O 1.97-2.15
22 Mg 0.5000 0.5000 0.4944  6 O 2.02-2.23
23 Mg 0.5000 0.7267 0.7498  5 O 1.97-2.15
24 Mg 0.5000 0.7451 0.2422  6 O 2.13-2.25
25 Mg 0.7476 0.2537 0.9938  6 O 2.13-2.21
26 Mg 0.7476 0.7463 0.9938  6 O 2.13-2.21
27 Mg 0.7494 0.2504 0.4964  6 O 2.14-2.17
28 Mg 0.7494 0.7496 0.4964  6 O 2.14-2.17
29 Mg 0.7501 0.5000 0.2432  6 O 2.15-2.19
30 Mg 0.7517 0.0000 0.2468  6 O 2.14-2.30
31 Mg 0.7528 0.5000 0.7471  6 O 2.13-2.20
32 Mg 0.7712 0.0000 0.7462  5 O 1.99-2.14
33 O 0.0000 0.0000 0.2714  3 Mg 1.93-2.15
34 O 0.0000 0.0000 0.7224  3 Mg 1.95-1.99
35 O 0.0000 0.2522 0.4969  6 Mg 2.14-2.18
36 O 0.0000 0.2717 0.9933  5 Mg 1.98-2.18
37 O 0.0000 0.5000 0.2520  6 Mg 2.09-2.20
38 O 0.0000 0.5000 0.7379  6 Mg 2.10-2.23
39 O 0.0000 0.7283 0.9933  5 Mg 1.98-2.18
40 O 0.0000 0.7478 0.4969  6 Mg 2.14-2.18
41 O 0.2414 0.5000 0.9939  5 Mg 2.08-2.15, 1 Na 2.23
42 O 0.2506 0.5000 0.4963  6 Mg 2.15-2.18
43 O 0.2516 0.2472 0.2454  6 Mg 2.14-2.19
44 O 0.2516 0.7528 0.2454  6 Mg 2.14-2.19
45 O 0.2544 0.2460 0.7444  6 Mg 2.13-2.20
46 O 0.2544 0.7540 0.7444  6 Mg 2.13-2.20
47 O 0.2608 0.0000 0.5032  6 Mg 2.08-2.25
48 O 0.2759 0.0000 0.9819  2 Mg 1.96-2.07
49 O 0.5000 0.0000 0.2479  4 Mg 1.96-2.17
50 O 0.5000 0.2376 0.9894  5 Mg 2.07-2.18, 1 Na 2.27
51 O 0.5000 0.2420 0.5028  6 Mg 2.11-2.25
52 O 0.5000 0.5000 0.2604  5 Mg 2.02-2.16, 1 Na 2.26
53 O 0.5000 0.5000 0.7311  5 Mg 1.97-2.19
54 O 0.5000 0.7580 0.5028  6 Mg 2.11-2.25
55 O 0.5000 0.7624 0.9894  5 Mg 2.07-2.18, 1 Na 2.27
56 O 0.7241 0.0000 0.9819  2 Mg 1.96-2.07
57 O 0.7392 0.0000 0.5032  6 Mg 2.08-2.25
58 O 0.7456 0.2460 0.7444  6 Mg 2.13-2.20
59 O 0.7456 0.7540 0.7444  6 Mg 2.13-2.20
60 O 0.7484 0.2472 0.2454  6 Mg 2.14-2.19
61 O 0.7484 0.7528 0.2454  6 Mg 2.14-2.19
62 O 0.7494 0.5000 0.4963  6 Mg 2.15-2.18
63 O 0.7586 0.5000 0.9939  5 Mg 2.08-2.15, 1 Na 2.23

Values from the calculation:
- formation energy from the elements (meV per atom) = -2886

=====

5.
Density functional theory data (PBE) for GdSeClO3 after structural relaxation.

Lattice parameters (Å, degrees): 7.3717 7.1222 8.9791 90.00 90.00 90.00
Last column: nearest neighbours and their distance in Å.
Atoms (fractional coordinates):
1 Gd 0.1082 0.2500 0.0397  5 O 2.25-2.43
2 Gd 0.3918 0.7500 0.5397  5 O 2.25-2.43
3 Gd 0.6082 0.2500 0.4603  5 O 2.25-2.43
4 Gd 0.8918 0.7500 0.9603  5 O 2.25-2.43
5 Se 0.2107 0.2500 0.6319  3 O 1.70-1.75
6 Se 0.2893 0.7500 0.1319  3 O 1.70-1.75
7 Se 0.7107 0.2500 0.8681  3 O 1.70-1.75
8 Se 0.7893 0.7500 0.3681  3 O 1.70-1.75
9 Cl 0.0542 0.7500 0.6812  2 Gd 2.78-2.79
10 Cl 0.4458 0.2500 0.1812  2 Gd 2.78-2.79
11 Cl 0.5542 0.7500 0.8188  2 Gd 2.78-2.79
12 Cl 0.9458 0.2500 0.3188  2 Gd 2.78-2.79
13 O 0.1429 0.5739 0.0674  1 Se 1.75
14 O 0.1429 0.9261 0.0674  1 Se 1.75
15 O 0.2477 0.7500 0.3184  1 Se 1.70
16 O 0.2523 0.2500 0.8184  1 Se 1.70
17 O 0.3571 0.0739 0.5674  1 Se 1.75
18 O 0.3571 0.4261 0.5674  1 Se 1.75
19 O 0.6429 0.5739 0.4326  1 Se 1.75
20 O 0.6429 0.9261 0.4326  1 Se 1.75
21 O 0.7477 0.7500 0.1816  1 Se 1.70
22 O 0.7523 0.2500 0.6816  1 Se 1.70
23 O 0.8571 0.0739 0.9326  1 Se 1.75
24 O 0.8571 0.4261 0.9326  1 Se 1.75

Values from the calculation:
- formation energy from the elements (meV per atom) = -2356

=====

6.
Density functional theory data (PBE) for Sr3Bi2 after structural relaxation.

Lattice parameters (Å, degrees): 6.2449 6.2449 6.2449 90.00 90.00 90.00
Last column: nearest neighbours and their distance in Å.
Atoms (fractional coordinates):
1 Sr 0.0000 0.0000 0.5000  2 Bi 3.12
2 Sr 0.0000 0.5000 0.0000  2 Bi 3.12
3 Sr 0.5000 0.0000 0.0000  2 Bi 3.12
4 Bi 0.0000 0.0000 0.0000  6 Sr 3.12
5 Bi 0.5000 0.5000 0.5000  12 Sr 4.42

Values from the calculation:
- formation energy from the elements (meV per atom) = -504

=====

7.
Density functional theory data (PBE) for CeCoRh after structural relaxation.

Lattice parameters (Å, degrees): 5.1708 5.1708 5.1708 121.32 117.12 91.39
Last column: nearest neighbours and their distance in Å.
Atoms (fractional coordinates):
1 Ce 0.3683 0.1183 0.2500  6 Co 2.95-3.13, 6 Rh 2.99-3.07, 4 Ce 3.17-3.19
2 Ce 0.6317 0.8817 0.7500  6 Co 2.95-3.13, 6 Rh 2.99-3.07, 4 Ce 3.17-3.19
3 Co 0.0000 0.0000 0.5000  2 Co 2.53, 4 Rh 2.59
4 Co 0.0000 0.5000 0.0000  2 Co 2.53, 4 Rh 2.59
5 Rh 0.0000 0.5000 0.5000  4 Co 2.59, 2 Rh 2.70
6 Rh 0.5000 0.5000 0.0000  4 Co 2.59, 2 Rh 2.70

Values from the calculation:
- formation energy from the elements (meV per atom) = -486

=====

8.
Density functional theory data (PBE) for Sr3N2 after structural relaxation.

Lattice parameters (Å, degrees): 10.6976 10.6976 10.6976 109.47 109.47 109.47
Last column: nearest neighbours and their distance in Å.
Atoms (fractional coordinates):
1 Sr 0.0051 0.4601 0.7331  4 N 2.63-2.68
2 Sr 0.0399 0.0450 0.2730  4 N 2.63-2.68
3 Sr 0.0450 0.2730 0.0399  4 N 2.63-2.68
4 Sr 0.2270 0.2720 0.7669  4 N 2.63-2.68
5 Sr 0.2280 0.4550 0.4949  4 N 2.63-2.68
6 Sr 0.2331 0.7730 0.7280  4 N 2.63-2.68
7 Sr 0.2669 0.9949 0.5399  4 N 2.63-2.68
8 Sr 0.2720 0.7669 0.2270  4 N 2.63-2.68
9 Sr 0.2730 0.0399 0.0450  4 N 2.63-2.68
10 Sr 0.4550 0.4949 0.2280  4 N 2.63-2.68
11 Sr 0.4601 0.7331 0.0051  4 N 2.63-2.68
12 Sr 0.4949 0.2280 0.4550  4 N 2.63-2.68
13 Sr 0.5051 0.7720 0.5450  4 N 2.63-2.68
14 Sr 0.5399 0.2669 0.9949  4 N 2.63-2.68
15 Sr 0.5450 0.5051 0.7720  4 N 2.63-2.68
16 Sr 0.7270 0.9601 0.9550  4 N 2.63-2.68
17 Sr 0.7280 0.2331 0.7730  4 N 2.63-2.68
18 Sr 0.7331 0.0051 0.4601  4 N 2.63-2.68
19 Sr 0.7669 0.2270 0.2720  4 N 2.63-2.68
20 Sr 0.7720 0.5450 0.5051  4 N 2.63-2.68
21 Sr 0.7730 0.7280 0.2331  4 N 2.63-2.68
22 Sr 0.9550 0.7270 0.9601  4 N 2.63-2.68
23 Sr 0.9601 0.9550 0.7270  4 N 2.63-2.68
24 Sr 0.9949 0.5399 0.2669  4 N 2.63-2.68
25 N 0.0000 0.0000 0.0000  6 Sr 2.65
26 N 0.0000 0.5000 0.5000  6 Sr 2.65
27 N 0.0444 0.7944 0.2500  6 Sr 2.63-2.68
28 N 0.2056 0.7500 0.9556  6 Sr 2.63-2.68
29 N 0.2500 0.0444 0.7944  6 Sr 2.63-2.68
30 N 0.2500 0.5444 0.2944  6 Sr 2.63-2.68
31 N 0.2944 0.2500 0.5444  6 Sr 2.63-2.68
32 N 0.4556 0.7056 0.7500  6 Sr 2.63-2.68
33 N 0.5000 0.0000 0.5000  6 Sr 2.65
34 N 0.5000 0.5000 0.0000  6 Sr 2.65
35 N 0.5444 0.2944 0.2500  6 Sr 2.63-2.68
36 N 0.7056 0.7500 0.4556  6 Sr 2.63-2.68
37 N 0.7500 0.4556 0.7056  6 Sr 2.63-2.68
38 N 0.7500 0.9556 0.2056  6 Sr 2.63-2.68
39 N 0.7944 0.2500 0.0444  6 Sr 2.63-2.68
40 N 0.9556 0.2056 0.7500  6 Sr 2.63-2.68

Values from the calculation:
- formation energy from the elements (meV per atom) = -651

=====

9.
Density functional theory data (PBE) for GdHfF7 after structural relaxation.

Lattice parameters (Å, degrees): 6.1750 5.7496 8.3501 90.00 101.93 90.00
Last column: nearest neighbours and their distance in Å.
Atoms (fractional coordinates):
1 Gd 0.1564 0.0000 0.1862  8 F 2.23-2.40
2 Gd 0.8436 0.5000 0.8138  8 F 2.23-2.40
3 Hf 0.3118 0.9899 0.7239  6 F 2.00-2.02
4 Hf 0.6882 0.4899 0.2761  6 F 2.00-2.02
5 F 0.0496 0.1997 0.7135  1 Hf 2.01
6 F 0.0504 0.3132 0.0247  2 Gd 2.23-2.26
7 F 0.1240 0.7006 0.7178  1 Hf 2.02
8 F 0.2568 0.9934 0.4794  1 Hf 2.00
9 F 0.3596 0.9860 0.9700  1 Hf 2.01
10 F 0.4287 0.2762 0.2673  1 Hf 2.01
11 F 0.4680 0.7522 0.2614  1 Hf 2.02
12 F 0.5320 0.2522 0.7386  1 Hf 2.02
13 F 0.5713 0.7762 0.7327  1 Hf 2.01
14 F 0.6404 0.4860 0.0300  1 Hf 2.01
15 F 0.7432 0.4934 0.5206  1 Hf 2.00
16 F 0.8760 0.2006 0.2822  1 Hf 2.02
17 F 0.9504 0.6997 0.2865  1 Hf 2.01
18 F 0.9496 0.8132 0.9753  2 Gd 2.23-2.26

Values from the calculation:
- formation energy from the elements (meV per atom) = -4288

=====

Question: Which of these has the highest formation energy from the elements?
Answer: CeCoRh

=====

Question: formation energy from the elements of number 3 (K2Na2MgNb2O2F10)?
Answer: -2994 meV per atom

=====

Question: Which of these has the highest formation energy from the elements?
Answer: CeCoRh

=====

Question: What is the formation energy from the elements in the ninth record?
Answer: -4288 meV per atom